w:
Material: Hg3SeO6
Method: DFT, GGA-PBE
State: relaxed

a = 7.286 Å, b = 7.286 Å, c = 10.638 Å
α = 90.00°, β = 90.00°, γ = 120.00°
Element x y z (fractional)
1 Hg 0.999 0.697 0.662
2 Hg 0.316 0.811 0.973
3 Hg 0.189 0.505 0.307
4 Hg 0.303 0.301 0.995
5 Hg 0.495 0.684 0.640
6 Hg 0.500 0.188 0.678
7 Hg 0.688 0.500 0.345
8 Hg 0.812 0.312 0.012
9 Hg 0.699 0.001 0.328
10 Se 0.234 0.016 0.328
11 Se 0.782 0.766 0.994
12 Se 0.984 0.218 0.661
13 O 0.001 0.875 0.400
14 O 0.283 0.864 0.228
15 O 0.326 0.846 0.707
16 O 0.154 0.480 0.040
17 O 0.136 0.419 0.562
18 O 0.125 0.126 0.733
19 O 0.250 0.217 0.241
20 O 0.520 0.674 0.374
21 O 0.581 0.717 0.895
22 O 0.429 0.121 0.436
23 O 0.874 0.999 0.066
24 O 0.482 0.153 0.947
25 O 0.672 0.518 0.614
26 O 0.693 0.571 0.103
27 O 0.967 0.750 0.907
28 O 0.847 0.328 0.281
29 O 0.879 0.307 0.770
30 O 0.783 0.033 0.574

=====

x:
Material: Hg3SeO6
Method: DFT, GGA-PBE
State: relaxed

Properties
* total magnetization: 0.19 μB per formula unit

a = 7.428 Å, b = 7.555 Å, c = 10.119 Å
α = 89.79°, β = 90.63°, γ = 119.18°
Element x y z (fractional)
1 Hg 0.651 0.006 0.658
2 Hg 0.809 0.329 0.960
3 Hg 0.952 0.626 0.298
4 Hg 0.640 0.484 0.647
5 Hg 0.474 0.138 0.300
6 Hg 0.446 0.626 0.344
7 Hg 0.299 0.297 0.007
8 Hg 0.246 0.574 0.739
9 Hg 0.344 0.824 0.027
10 Se 0.953 0.107 0.330
11 Se 0.784 0.806 0.994
12 Se 0.147 0.101 0.603
13 O 0.861 0.257 0.269
14 O 0.768 0.302 0.722
15 O 0.647 0.575 0.922
16 O 0.635 0.477 0.353
17 O 0.492 0.157 0.048
18 O 0.375 0.131 0.546
19 O 0.694 0.808 0.145
20 O 0.539 0.704 0.594
21 O 0.158 0.154 0.234
22 O 0.220 0.259 0.736
23 O 0.102 0.264 0.477
24 O 0.165 0.496 0.964
25 O 0.283 0.784 0.268
26 O 0.744 0.972 0.903
27 O 0.101 0.599 0.528
28 O 0.089 0.773 0.711
29 O 0.031 0.721 0.577
30 O 0.031 0.867 0.000

=====

Most stable: w

=====

w:
Material: Hg3P
Method: DFT, GGA-PBE
State: relaxed

Properties
* total magnetization: 0.00 μB per formula unit

a = 5.072 Å, b = 5.072 Å, c = 5.072 Å
α = 60.00°, β = 60.00°, γ = 60.00°
Element x y z (fractional)
1 Hg 0.250 0.250 0.250
2 Hg 0.750 0.750 0.750
3 Hg 0.500 0.500 0.500
4 P 0.000 0.000 0.000

=====

x:
Material: Hg3P
Method: DFT, GGA-PBE
State: relaxed

Properties
* total magnetization: 0.00 μB per formula unit

a = 5.981 Å, b = 5.981 Å, c = 6.054 Å
α = 90.00°, β = 90.00°, γ = 120.00°
Element x y z (fractional)
1 Hg 0.832 0.168 0.750
2 Hg 0.337 0.168 0.750
3 Hg 0.832 0.663 0.750
4 Hg 0.168 0.832 0.250
5 Hg 0.663 0.832 0.250
6 Hg 0.168 0.337 0.250
7 P 0.667 0.333 0.250
8 P 0.333 0.667 0.750

=====

Most stable: x

=====

w:
Material: Hg3Pt
Method: DFT, GGA-PBE
State: relaxed

Properties
* total magnetization: 0.00 μB per formula unit

a = 4.344 Å, b = 4.344 Å, c = 4.344 Å
α = 90.00°, β = 90.00°, γ = 90.00°
Element x y z (fractional)
1 Hg 0.000 0.500 0.500
2 Hg 0.500 0.000 0.500
3 Hg 0.500 0.500 0.000
4 Pt 0.000 0.000 0.000

=====

x:
Material: Hg3Pt
Method: DFT, GGA-PBE
State: relaxed

Properties
* total magnetization: 0.00 μB per formula unit

a = 5.504 Å, b = 5.504 Å, c = 5.504 Å
α = 135.10°, β = 135.10°, γ = 65.38°
Element x y z (fractional)
1 Hg 0.750 0.250 0.500
2 Hg 0.250 0.750 0.500
3 Hg 0.500 0.500 0.000
4 Pt 0.000 0.000 0.000

=====

Most stable: x